[1]
Ti17N6O24, optimized geometry, DFT PBE; ρ = 3.82 g/cm3; total energy after the MP2020 corrections = -9.4535 eV/atom; symmetry = P2/c; crystal system = monoclinic
1.0
-7.942 0.301 5.514
-0.288 -10.736 0.171
5.933 -6.684 8.910
O Ti N
48 34 12
direct
0.689 0.958 0.479
0.547 0.422 0.460
0.453 0.578 0.540
0.190 0.540 0.522
0.177 0.867 0.183
0.311 0.958 0.979
0.547 0.578 0.040
0.823 0.133 0.817
0.952 0.745 0.372
0.689 0.042 0.021
0.813 0.212 0.353
0.689 0.290 0.144
0.451 0.752 0.626
0.048 0.923 0.956
0.457 0.094 0.297
0.048 0.077 0.544
0.952 0.077 0.044
0.187 0.788 0.647
0.543 0.094 0.797
0.190 0.460 0.978
0.453 0.422 0.960
0.177 0.133 0.317
0.549 0.752 0.126
0.311 0.625 0.312
0.048 0.745 0.872
0.689 0.625 0.812
0.952 0.417 0.704
0.311 0.710 0.856
0.543 0.906 0.703
0.311 0.375 0.188
0.311 0.042 0.521
0.813 0.788 0.147
0.048 0.583 0.296
0.048 0.417 0.204
0.549 0.248 0.374
0.048 0.255 0.628
0.952 0.255 0.128
0.689 0.375 0.688
0.952 0.583 0.796
0.952 0.923 0.456
0.810 0.460 0.478
0.689 0.710 0.356
0.810 0.540 0.022
0.823 0.867 0.683
0.451 0.248 0.874
0.187 0.212 0.853
0.311 0.290 0.644
0.457 0.906 0.203
0.198 0.500 0.250
0.640 0.450 0.976
0.637 0.120 0.310
0.196 0.165 0.583
0.144 0.277 0.145
0.363 0.120 0.810
0.360 0.450 0.476
0.637 0.880 0.190
0.864 0.621 0.310
0.363 0.204 0.353
0.802 0.500 0.750
0.804 0.835 0.417
0.302 0.334 0.916
0.856 0.723 0.855
0.637 0.796 0.647
0.804 0.165 0.083
0.856 0.277 0.645
0.196 0.835 0.917
0.136 0.379 0.690
0.859 0.953 0.970
0.141 0.953 0.470
0.698 0.334 0.416
0.640 0.550 0.524
0.864 0.379 0.190
0.637 0.204 0.853
0.360 0.550 0.024
0.141 0.047 0.030
0.363 0.796 0.147
0.144 0.723 0.355
0.363 0.880 0.690
0.136 0.621 0.810
0.302 0.666 0.584
0.859 0.047 0.530
0.698 0.666 0.084
0.269 0.333 0.416
0.779 0.178 0.572
0.731 0.333 0.916
0.773 0.500 0.250
0.269 0.667 0.084
0.227 0.500 0.750
0.221 0.822 0.428
0.733 0.000 0.250
0.221 0.178 0.072
0.731 0.667 0.584
0.779 0.822 0.928
0.267 0.000 0.750


[2]
Ti17N6O24, optimized geometry, DFT PBE; ρ = 3.82 g/cm3; total energy after the MP2020 corrections = -9.4538 eV/atom; symmetry = P-1; crystal system = triclinic
1.0
-0.736 -10.341 -0.747
7.506 -1.407 -7.554
9.246 -5.214 4.350
O Ti N
48 34 12
direct
0.689 0.437 0.125
0.689 0.434 0.793
0.311 0.937 0.750
0.810 0.564 0.874
0.813 0.566 0.542
0.311 0.934 0.419
0.810 0.937 0.419
0.543 0.891 0.189
0.047 0.622 0.609
0.952 0.118 0.477
0.543 0.609 0.283
0.548 0.618 0.945
0.047 0.879 0.193
0.549 0.623 0.609
0.690 0.063 0.916
0.952 0.380 0.053
0.452 0.382 0.055
0.048 0.881 0.855
0.310 0.937 0.084
0.187 0.434 0.458
0.048 0.620 0.947
0.451 0.123 0.142
0.311 0.566 0.207
0.823 0.551 0.209
0.311 0.563 0.875
0.690 0.437 0.457
0.048 0.882 0.523
0.952 0.119 0.145
0.177 0.051 0.924
0.187 0.066 0.251
0.452 0.118 0.476
0.813 0.934 0.749
0.953 0.378 0.391
0.952 0.383 0.723
0.457 0.109 0.811
0.689 0.066 0.581
0.451 0.377 0.391
0.823 0.949 0.076
0.457 0.391 0.717
0.310 0.563 0.543
0.190 0.063 0.581
0.190 0.436 0.126
0.953 0.121 0.807
0.549 0.877 0.858
0.048 0.617 0.277
0.689 0.063 0.250
0.548 0.882 0.524
0.177 0.449 0.791
0.861 0.930 0.570
0.362 0.558 0.694
0.803 0.248 0.817
0.640 0.075 0.428
0.637 0.429 0.645
0.362 0.942 0.899
0.141 0.423 0.974
0.139 0.070 0.430
0.302 0.250 0.149
0.856 0.578 0.351
0.363 0.929 0.235
0.136 0.431 0.311
0.641 0.425 0.978
0.859 0.923 0.910
0.141 0.076 0.766
0.804 0.250 0.148
0.859 0.924 0.234
0.144 0.422 0.649
0.638 0.442 0.306
0.801 0.251 0.482
0.199 0.749 0.518
0.197 0.752 0.183
0.363 0.571 0.355
0.638 0.058 0.101
0.698 0.750 0.851
0.859 0.577 0.026
0.303 0.250 0.482
0.359 0.575 0.022
0.360 0.925 0.572
0.196 0.750 0.852
0.637 0.071 0.765
0.141 0.077 0.090
0.864 0.569 0.689
0.697 0.750 0.518
0.221 0.250 0.021
0.221 0.250 0.665
0.227 0.250 0.341
0.733 0.250 0.672
0.269 0.749 0.661
0.731 0.249 0.007
0.779 0.750 0.979
0.267 0.750 0.328
0.269 0.751 0.993
0.731 0.251 0.339
0.779 0.750 0.335
0.773 0.750 0.659


[3]
Ti17N6O24, optimized geometry, DFT PBE; ρ = 3.82 g/cm3; total energy after the MP2020 corrections = -9.4536 eV/atom; symmetry = P2_1/m; crystal system = monoclinic
1.0
-5.201 0.359 -8.583
-6.379 -1.848 3.788
-4.338 13.612 3.197
O Ti N
48 34 12
direct
0.378 0.592 0.634
0.435 0.135 0.460
0.560 0.032 0.872
0.064 0.801 0.792
0.882 0.075 0.698
0.120 0.256 0.968
0.067 0.636 0.457
0.380 0.760 0.968
0.380 0.256 0.968
0.878 0.408 0.366
0.433 0.636 0.457
0.118 0.925 0.302
0.620 0.240 0.032
0.450 0.470 0.118
0.381 0.091 0.635
0.880 0.744 0.032
0.881 0.909 0.365
0.550 0.530 0.882
0.065 0.135 0.460
0.936 0.199 0.208
0.050 0.470 0.118
0.436 0.801 0.792
0.622 0.408 0.366
0.565 0.865 0.540
0.564 0.199 0.208
0.119 0.091 0.635
0.064 0.303 0.792
0.936 0.697 0.208
0.436 0.303 0.792
0.619 0.909 0.365
0.122 0.592 0.634
0.382 0.925 0.302
0.891 0.576 0.696
0.950 0.530 0.882
0.620 0.744 0.032
0.935 0.865 0.540
0.120 0.760 0.968
0.109 0.424 0.304
0.940 0.032 0.872
0.609 0.576 0.696
0.618 0.075 0.698
0.564 0.697 0.208
0.567 0.364 0.543
0.880 0.240 0.032
0.933 0.364 0.543
0.391 0.424 0.304
0.060 0.968 0.128
0.440 0.968 0.128
0.560 0.440 0.241
0.572 0.940 0.238
0.940 0.440 0.241
0.424 0.233 0.094
0.250 0.119 0.536
0.076 0.233 0.094
0.576 0.280 0.906
0.250 0.950 0.200
0.440 0.560 0.759
0.576 0.767 0.906
0.428 0.060 0.762
0.750 0.711 0.131
0.250 0.614 0.535
0.928 0.107 0.574
0.930 0.605 0.577
0.430 0.395 0.423
0.750 0.050 0.800
0.072 0.893 0.426
0.424 0.720 0.094
0.750 0.386 0.465
0.250 0.776 0.870
0.750 0.224 0.130
0.924 0.280 0.906
0.250 0.289 0.869
0.072 0.060 0.762
0.924 0.767 0.906
0.076 0.720 0.094
0.572 0.107 0.574
0.928 0.940 0.238
0.060 0.560 0.759
0.428 0.893 0.426
0.070 0.395 0.423
0.570 0.605 0.577
0.750 0.881 0.464
0.750 0.805 0.855
0.750 0.624 0.511
0.750 0.455 0.178
0.250 0.376 0.489
0.250 0.880 0.487
0.250 0.732 0.145
0.750 0.268 0.855
0.250 0.545 0.822
0.750 0.120 0.513
0.750 0.955 0.180
0.250 0.195 0.145
0.250 0.045 0.820


[4]
Ti17N6O24, optimized geometry, DFT PBE; ρ = 3.82 g/cm3; total energy after the MP2020 corrections = -9.4521 eV/atom; symmetry = P2_1/m; crystal system = monoclinic
1.0
-2.536 -9.102 -3.401
7.277 0.733 -7.387
10.078 -4.145 3.579
O Ti N
48 34 12
direct
0.437 0.311 0.396
0.878 0.451 0.850
0.891 0.456 0.181
0.879 0.953 0.851
0.118 0.049 0.816
0.062 0.310 0.064
0.379 0.047 0.149
0.437 0.809 0.395
0.378 0.549 0.150
0.934 0.688 0.271
0.935 0.186 0.936
0.882 0.951 0.184
0.618 0.951 0.184
0.880 0.952 0.513
0.063 0.809 0.395
0.937 0.689 0.604
0.109 0.544 0.819
0.881 0.453 0.515
0.950 0.176 0.275
0.381 0.547 0.485
0.438 0.310 0.064
0.563 0.191 0.605
0.563 0.689 0.604
0.119 0.547 0.485
0.382 0.049 0.816
0.380 0.048 0.487
0.621 0.953 0.851
0.622 0.451 0.850
0.050 0.824 0.725
0.566 0.688 0.271
0.066 0.312 0.729
0.065 0.814 0.064
0.122 0.549 0.150
0.620 0.952 0.513
0.609 0.456 0.181
0.619 0.453 0.515
0.120 0.048 0.487
0.063 0.311 0.396
0.121 0.047 0.149
0.565 0.186 0.936
0.938 0.690 0.936
0.550 0.176 0.275
0.391 0.544 0.819
0.562 0.690 0.936
0.434 0.312 0.729
0.937 0.191 0.605
0.450 0.824 0.725
0.435 0.814 0.064
0.071 0.365 0.878
0.429 0.365 0.878
0.923 0.144 0.123
0.929 0.635 0.122
0.924 0.140 0.448
0.250 0.198 0.769
0.750 0.301 0.898
0.928 0.641 0.453
0.431 0.864 0.211
0.440 0.363 0.213
0.750 0.802 0.897
0.077 0.856 0.877
0.750 0.804 0.569
0.428 0.359 0.547
0.940 0.637 0.787
0.072 0.359 0.547
0.750 0.302 0.566
0.250 0.698 0.434
0.250 0.198 0.103
0.250 0.699 0.102
0.060 0.363 0.213
0.569 0.136 0.789
0.931 0.136 0.789
0.576 0.140 0.448
0.250 0.196 0.431
0.577 0.144 0.123
0.069 0.864 0.211
0.560 0.637 0.787
0.750 0.802 0.231
0.424 0.860 0.552
0.572 0.641 0.453
0.423 0.856 0.877
0.076 0.860 0.552
0.571 0.635 0.122
0.750 0.731 0.757
0.250 0.269 0.243
0.750 0.227 0.756
0.250 0.270 0.575
0.250 0.781 0.560
0.750 0.221 0.082
0.250 0.773 0.244
0.750 0.730 0.425
0.250 0.267 0.912
0.250 0.779 0.918
0.750 0.733 0.088
0.750 0.219 0.440


no.,formation energy (eV/atom),ΔE to the lowest computed polymorph (meV per atom)
1,-3.0069,2
2,-3.0071,2
3,-3.0070,2
4,-3.0055,4